Entry 1:
Entry from Materials Project: an optimized crystal structure of KMnO2 (GGA+U).

## Properties
Its electronic total energy is -5.991 eV/atom. The formation energy comes out at -1.710 eV per atom. The calculation puts the total magnetization at 8.000 Bohr magnetons per cell.

a b c (Å): 6.6847 6.6847 8.4854
angles (deg): 52.85 52.85 27.96
Closest atoms and distances in Å follow each position.
Fractional positions:
K 0.1705 0.1705 0.8123  4 O 2.62-2.84
K 0.8295 0.8295 0.1877  4 O 2.62-2.84
O 0.4523 0.4523 0.8384  2 Mn 1.98
O 0.5477 0.5477 0.1616  2 Mn 1.98
O 0.8724 0.8724 0.5868  2 Mn 1.91-1.93
O 0.1276 0.1276 0.4132  2 Mn 1.91-1.93
Mn 0.0294 0.0294 0.3125  4 O 1.91-1.98
Mn 0.9706 0.9706 0.6875  4 O 1.91-1.98


Entry 2:
Entry from Materials Project: an optimized crystal structure of Li4Ti3Cr3Co2O16 (GGA+U).

## Properties
Its electronic total energy is -7.224 eV/atom. The formation energy comes out at -2.459 eV per atom. The calculation puts the total magnetization at 8.000 Bohr magnetons per cell.

a b c (Å): 5.8142 5.8548 9.3961
angles (deg): 90.01 90.12 120.24
Closest atoms and distances in Å follow each position.
Fractional positions:
O 0.6635 0.3317 0.5999  1 Li 1.92, 2 Cr 1.95, 1 Ti 1.96
O 0.4773 0.9546 0.3442  1 Co 1.96, 1 Li 1.97, 1 Cr 1.98, 1 Ti 2.00
O 0.9986 0.9994 0.8081  1 Li 1.75, 1 Ti 1.93, 2 Cr 1.95-1.96
O 0.1703 0.3383 0.6027  1 Li 1.97, 1 Cr 1.98, 1 Co 2.00, 1 Ti 2.01
O 0.9547 0.4772 0.8385  1 Co 1.95, 2 Cr 1.98, 1 Li 1.98
O 0.8366 0.6651 0.1010  1 Li 1.95, 1 Ti 1.96, 1 Co 2.01, 1 Cr 2.04
O 0.1705 0.8325 0.6026  1 Li 1.97, 1 Cr 1.98, 1 Co 2.00, 1 Ti 2.01
O 0.3251 0.6625 0.0998  1 Li 1.94, 2 Ti 1.96, 1 Cr 1.96
O 0.3383 0.1691 0.1029  2 Ti 1.99-2.00, 1 Li 2.02, 1 Co 2.04
O 0.5279 0.0470 0.8439  1 Co 1.94, 1 Li 1.97, 1 Ti 1.98, 1 Cr 1.99
O 0.4773 0.5229 0.3443  1 Co 1.96, 1 Li 1.97, 1 Cr 1.98, 1 Ti 2.00
O 0.9970 0.9985 0.3109  1 Li 1.76, 2 Ti 1.95, 1 Cr 1.95
O 0.6674 0.8339 0.6054  1 Li 1.95, 2 Cr 1.96, 1 Co 2.02
O 0.0452 0.5227 0.3432  1 Co 1.96, 1 Li 1.97, 2 Ti 2.00
O 0.8366 0.1714 0.1010  1 Li 1.95, 1 Ti 1.96, 1 Co 2.02, 1 Cr 2.04
O 0.5277 0.4807 0.8441  1 Co 1.94, 1 Li 1.97, 1 Ti 1.99, 1 Cr 1.99
Co 0.6723 0.3361 0.9799  6 O 1.94-2.04
Co 0.3339 0.6671 0.4841  6 O 1.96-2.02
Cr 0.6531 0.8266 0.2131  6 O 1.95-2.04
Cr 0.8301 0.1705 0.7086  6 O 1.95-1.99
Cr 0.8300 0.6595 0.7088  6 O 1.95-1.99
Ti 0.1669 0.3364 0.2118  6 O 1.95-2.00
Ti 0.1670 0.8307 0.2117  6 O 1.95-2.00
Ti 0.3405 0.1700 0.7159  6 O 1.93-2.01
Li 0.9899 0.9949 0.9947  3 O 1.75-1.95
Li 0.3367 0.6682 0.8929  4 O 1.94-1.98
Li 0.9999 0.9998 0.4983  4 O 1.76-1.97
Li 0.6660 0.3331 0.3956  4 O 1.92-1.97


Entry 3:
Entry from Materials Project: an optimized crystal structure of CaFe8O14F2 (GGA+U).

## Properties
Its electronic total energy is -6.163 eV/atom. The formation energy comes out at -1.592 eV per atom. The calculation puts the total magnetization at 36.372 Bohr magnetons per cell.

a b c (Å): 4.6183 4.6269 13.7168
angles (deg): 88.10 83.53 89.10
Closest atoms and distances in Å follow each position.
Fractional positions:
F 0.6631 0.6645 0.4778  3 Fe 2.04-2.20
F 0.7940 0.2000 0.8628  2 Fe 1.97-2.13
O 0.2538 0.7783 0.1478  3 Fe 1.93-1.98
O 0.2816 0.2581 0.4641  3 Fe 1.85-1.95
O 0.8063 0.1549 0.3655  3 Fe 1.93-2.04
O 0.8677 0.1695 0.1431  3 Fe 1.91-2.00
O 0.7837 0.6967 0.0304  3 Fe 1.90-2.01
O 0.1909 0.7619 0.3647  3 Fe 1.95-2.05
O 0.7240 0.6591 0.2516  3 Fe 1.89-2.02
O 0.3854 0.3034 0.0264  3 Fe 1.97-2.02
O 0.6977 0.6919 0.7799  2 Fe 1.90-2.08
O 0.7549 0.2048 0.5965  3 Fe 1.89-2.11
O 0.3363 0.2642 0.2481  3 Fe 1.94-1.99
O 0.1500 0.7608 0.5897  2 Fe 1.88-1.95
O 0.2628 0.8310 0.9202  2 Fe 1.87-1.90
O 0.2852 0.3187 0.7183  2 Fe 1.99-2.02
Fe 0.9793 0.9653 0.4829  5 O 1.95-2.11, 1 F 2.04
Fe 0.7174 0.3147 0.7287  3 O 1.89-2.02, 1 F 1.97
Fe 0.5827 0.5720 0.9266  4 O 1.90-2.08
Fe 0.3833 0.4243 0.5764  4 O 1.85-2.02, 1 F 2.07
Fe 0.0270 0.9660 0.2570  6 O 1.93-2.02
Fe 0.5591 0.4729 0.1400  6 O 1.94-2.02
Fe 0.4974 0.4547 0.3540  5 O 1.89-1.99
Fe 0.1012 0.9836 0.0392  5 O 1.87-2.01
Ca 0.1929 0.8232 0.7583  6 O 2.28-2.45


Entry 4:
Entry from Materials Project: an optimized crystal structure of V2O2F3 (GGA+U).

## Properties
Its electronic total energy is -6.748 eV/atom. The formation energy comes out at -2.798 eV per atom. The calculation puts the total magnetization at 6.000 Bohr magnetons per cell.

a b c (Å): 5.5462 5.5462 7.0968
angles (deg): 71.17 71.17 54.33
Closest atoms and distances in Å follow each position.
Fractional positions:
V 0.1875 0.2192 0.6180  3 O 1.85-2.02, 3 F 1.95-2.04
V 0.2192 0.1875 0.1180  3 O 1.85-2.02, 3 F 1.95-2.04
V 0.8125 0.7808 0.3820  3 O 1.85-2.02, 3 F 1.95-2.04
V 0.7808 0.8125 0.8820  3 O 1.85-2.02, 3 F 1.95-2.04
F 0.4420 0.8029 0.5399  2 V 1.95-2.04
F 0.8029 0.4420 0.0399  2 V 1.95-2.04
F 0.5580 0.1971 0.4601  2 V 1.95-2.04
F 0.8819 0.1181 0.7500  2 V 1.95
F 0.1181 0.8819 0.2500  2 V 1.95
F 0.1971 0.5580 0.9601  2 V 1.95-2.04
O 0.3826 0.0496 0.8484  3 V 1.85-2.02
O 0.6174 0.9504 0.1516  3 V 1.85-2.02
O 0.0496 0.3826 0.3484  3 V 1.85-2.02
O 0.9504 0.6174 0.6516  3 V 1.85-2.02


Entry 5:
Entry from Materials Project: an optimized crystal structure of VH14SO11 (GGA+U).

## Properties
Its electronic total energy is -5.370 eV/atom. The formation energy comes out at -1.448 eV per atom. The calculation puts the total magnetization at 11.999 Bohr magnetons per cell.

a b c (Å): 6.5296 11.1627 14.1857
angles (deg): 74.45 90.00 90.00
Closest atoms and distances in Å follow each position.
Fractional positions:
O 0.4856 0.6172 0.6291  2 H 0.98-0.99
O 0.3934 0.4372 0.8774  2 H 0.99
O 0.2030 0.5709 0.0298  2 H 0.98-0.99
O 0.2148 0.9384 0.5740  2 H 0.98-1.00
O 0.9856 0.8828 0.3709  2 H 0.98-0.99
O 0.6191 0.2251 0.6936  1 S 1.49
O 0.3436 0.0516 0.3546  2 H 0.99
O 0.0144 0.1172 0.6291  2 H 0.98-0.99
O 0.5226 0.9677 0.2030  1 S 1.51
O 0.2397 0.7184 0.7450  1 S 1.50
O 0.7030 0.9291 0.9702  2 H 0.98-0.99
O 0.4774 0.0323 0.7970  1 S 1.51
O 0.7397 0.7816 0.2550  1 S 1.50
O 0.0226 0.5323 0.7970  1 S 1.51
O 0.2970 0.0709 0.0298  2 H 0.98-0.99
O 0.9573 0.1849 0.8996  2 H 0.98-0.99
O 0.0454 0.6820 0.5220  2 H 0.99-1.00
O 0.1066 0.9372 0.8774  2 H 0.99
O 0.5427 0.6849 0.8996  2 H 0.98-0.99
O 0.2603 0.2184 0.7450  1 S 1.50
O 0.9546 0.3180 0.4780  2 H 0.99-1.00
O 0.8436 0.4484 0.6454  2 H 0.99
O 0.5144 0.3828 0.3709  2 H 0.98-0.99
O 0.6066 0.5628 0.1226  2 H 0.99
O 0.7852 0.0616 0.4260  2 H 0.98-1.00
O 0.9774 0.4677 0.2030  1 S 1.51
O 0.1564 0.5516 0.3546  2 H 0.99
O 0.0332 0.2904 0.1358  1 S 1.50
O 0.5332 0.2096 0.8642  1 S 1.50
O 0.4573 0.3151 0.1004  2 H 0.98-0.99
O 0.7970 0.4291 0.9702  2 H 0.98-0.99
O 0.4668 0.7904 0.1358  1 S 1.50
O 0.7148 0.5616 0.4260  2 H 0.98-1.00
O 0.9668 0.7096 0.8642  1 S 1.50
O 0.0427 0.8151 0.1004  2 H 0.98-0.99
O 0.3809 0.7749 0.3064  1 S 1.49
O 0.2852 0.4384 0.5740  2 H 0.98-1.00
O 0.1191 0.2749 0.3064  1 S 1.49
O 0.6564 0.9484 0.6454  2 H 0.99
O 0.8934 0.0628 0.1226  2 H 0.99
O 0.5454 0.8180 0.4780  2 H 0.99-1.00
O 0.7603 0.2816 0.2550  1 S 1.50
O 0.4546 0.1820 0.5220  2 H 0.99-1.00
O 0.8809 0.7251 0.6936  1 S 1.49
H 0.5205 0.2005 0.5791  1 O 0.99
H 0.5943 0.3558 0.3207  1 O 0.99
H 0.0653 0.8538 0.8726  1 O 0.99
H 0.9795 0.7005 0.5791  1 O 0.99
H 0.8888 0.3785 0.0202  1 O 0.98
H 0.3815 0.4150 0.3433  1 O 0.98
H 0.4183 0.0369 0.2981  1 O 0.99
H 0.1867 0.7950 0.1198  1 O 0.99
H 0.1354 0.0040 0.5944  1 O 1.00
H 0.0817 0.5369 0.2981  1 O 0.99
H 0.7673 0.3691 0.6674  1 O 0.99
H 0.3133 0.2950 0.1198  1 O 0.99
H 0.8780 0.4632 0.9103  1 O 0.99
H 0.0248 0.7580 0.4665  1 O 1.00
H 0.4347 0.3538 0.8726  1 O 0.99
H 0.2818 0.3649 0.6306  1 O 0.98
H 0.7818 0.1351 0.3694  1 O 0.98
H 0.6220 0.9632 0.9103  1 O 0.99
H 0.4795 0.7995 0.4209  1 O 0.99
H 0.1112 0.6215 0.9798  1 O 0.98
H 0.2182 0.8649 0.6306  1 O 0.98
H 0.6354 0.4960 0.4056  1 O 1.00
H 0.8646 0.9960 0.4056  1 O 1.00
H 0.7327 0.8691 0.6674  1 O 0.99
H 0.2440 0.9576 0.8486  1 O 0.99
H 0.1220 0.5368 0.0897  1 O 0.99
H 0.5653 0.6462 0.1274  1 O 0.99
H 0.8133 0.2050 0.8802  1 O 0.99
H 0.3888 0.1215 0.9798  1 O 0.98
H 0.9183 0.4631 0.7019  1 O 0.99
H 0.6185 0.5850 0.6567  1 O 0.98
H 0.0434 0.2018 0.8406  1 O 0.98
H 0.4752 0.2580 0.4665  1 O 1.00
H 0.0205 0.2995 0.4209  1 O 0.99
H 0.3780 0.0368 0.0897  1 O 0.99
H 0.7560 0.0424 0.1514  1 O 0.99
H 0.0943 0.1442 0.6793  1 O 0.99
H 0.3646 0.5040 0.5944  1 O 1.00
H 0.4566 0.7018 0.8406  1 O 0.98
H 0.9347 0.1462 0.1274  1 O 0.99
H 0.5248 0.7420 0.5335  1 O 1.00
H 0.2560 0.4576 0.8486  1 O 0.99
H 0.7182 0.6351 0.3694  1 O 0.98
H 0.1185 0.9150 0.3433  1 O 0.98
H 0.4057 0.6442 0.6793  1 O 0.99
H 0.9566 0.7982 0.1594  1 O 0.98
H 0.6112 0.8785 0.0202  1 O 0.98
H 0.2673 0.1309 0.3326  1 O 0.99
H 0.5817 0.9631 0.7019  1 O 0.99
H 0.6867 0.7050 0.8802  1 O 0.99
H 0.5434 0.2982 0.1594  1 O 0.98
H 0.8815 0.0850 0.6567  1 O 0.98
H 0.9057 0.8558 0.3207  1 O 0.99
H 0.7440 0.5424 0.1514  1 O 0.99
H 0.9752 0.2420 0.5335  1 O 1.00
H 0.2327 0.6309 0.3326  1 O 0.99
V 0.5000 0.0000 0.5000  6 O 2.16-2.23
V 0.0000 0.5000 0.5000  6 O 2.16-2.23
V 0.0000 0.0000 0.0000  6 O 2.16-2.19
V 0.5000 0.5000 0.0000  6 O 2.16-2.19
S 0.4727 0.1721 0.7743  4 O 1.49-1.51
S 0.9727 0.3279 0.2257  4 O 1.49-1.51
S 0.0273 0.6721 0.7743  4 O 1.49-1.51
S 0.5273 0.8279 0.2257  4 O 1.49-1.51


Entry 6:
Entry from Materials Project: an optimized crystal structure of Cr2FeO4 (GGA+U).

## Properties
Its electronic total energy is -7.687 eV/atom. The formation energy comes out at -2.178 eV per atom.

a b c (Å): 5.9903 5.9903 6.0540
angles (deg): 60.54 60.54 90.36
Closest atoms and distances in Å follow each position.
Fractional positions:
O 0.7876 0.2656 0.4680  3 Cr 2.03-2.04, 1 Fe 2.03
O 0.2344 0.7124 0.0320  3 Cr 2.03-2.04, 1 Fe 2.03
O 0.2322 0.2549 0.0327  3 Cr 2.03-2.04, 1 Fe 2.04
O 0.7556 0.7341 0.5322  3 Cr 2.03-2.04, 1 Fe 2.03
O 0.2127 0.7347 0.5327  3 Cr 2.03-2.04, 1 Fe 2.04
O 0.2451 0.2678 0.4673  3 Cr 2.03-2.04, 1 Fe 2.04
O 0.7660 0.7444 0.9678  3 Cr 2.03-2.04, 1 Fe 2.03
O 0.7653 0.2873 0.9673  3 Cr 2.03-2.04, 1 Fe 2.04
Cr 0.5001 0.4998 0.9993  6 O 2.03-2.04
Cr 0.0005 0.5007 0.4993  6 O 2.03-2.04
Cr 0.0002 0.9999 0.5007  6 O 2.03-2.04
Cr 0.9993 0.4995 0.0007  6 O 2.03-2.04
Fe 0.6259 0.8741 0.2500  4 O 2.03-2.04
Fe 0.3752 0.1248 0.7500  4 O 2.03-2.04


Entry 7:
Entry from Materials Project: an optimized crystal structure of CrO2 (GGA+U).

## Properties
Its electronic total energy is -7.434 eV/atom. The formation energy comes out at -2.042 eV per atom. The calculation puts the total magnetization at 8.000 Bohr magnetons per cell.

a b c (Å): 4.4713 4.4713 5.9904
angles (deg): 90.00 90.00 90.00
Closest atoms and distances in Å follow each position.
Fractional positions:
O 0.7017 0.7017 0.4982  3 Cr 1.89-1.99
O 0.2017 0.7983 0.7518  3 Cr 1.89-1.99
O 0.7983 0.2017 0.7518  3 Cr 1.89-1.99
O 0.2983 0.2983 0.9982  3 Cr 1.89-1.99
O 0.7983 0.2017 0.2518  3 Cr 1.89-1.99
O 0.7017 0.7017 0.9982  3 Cr 1.89-1.99
O 0.2017 0.7983 0.2518  3 Cr 1.89-1.99
O 0.2983 0.2983 0.4982  3 Cr 1.89-1.99
Cr 0.5000 0.5000 0.2442  6 O 1.89-1.99
Cr 0.0000 0.0000 0.5058  6 O 1.89-1.99
Cr 0.0000 0.0000 0.0058  6 O 1.89-1.99
Cr 0.5000 0.5000 0.7442  6 O 1.89-1.99


Entry 8:
Entry from Materials Project: an optimized crystal structure of LiFeB2O5 (GGA+U).

## Properties
Its electronic total energy is -7.212 eV/atom. The formation energy comes out at -2.458 eV per atom. The calculation puts the total magnetization at 20.001 Bohr magnetons per cell.

a b c (Å): 7.3100 7.3100 9.7842
angles (deg): 69.46 69.46 90.98
Closest atoms and distances in Å follow each position.
Fractional positions:
B 0.7725 0.7612 0.4054  3 O 1.36-1.42
B 0.2388 0.2275 0.0946  3 O 1.36-1.42
B 0.4006 0.7369 0.4746  3 O 1.36-1.43
B 0.2631 0.5994 0.0254  3 O 1.36-1.43
B 0.7612 0.7725 0.9054  3 O 1.36-1.42
B 0.5994 0.2631 0.5254  3 O 1.36-1.43
B 0.2275 0.2388 0.5946  3 O 1.36-1.42
B 0.7369 0.4006 0.9746  3 O 1.36-1.43
O 0.1447 0.1743 0.2535  1 B 1.36
O 0.8164 0.4049 0.8250  1 B 1.36
O 0.0810 0.2937 0.5386  1 B 1.37
O 0.5731 0.7172 0.5125  2 B 1.42-1.43
O 0.2828 0.4269 0.9875  2 B 1.42-1.43
O 0.4269 0.2828 0.4875  2 B 1.42-1.43
O 0.1836 0.5951 0.1750  1 B 1.36
O 0.7677 0.3340 0.3905  1 B 1.37
O 0.3340 0.7677 0.8905  1 B 1.37
O 0.2323 0.6660 0.6095  1 B 1.37
O 0.4049 0.8164 0.3250  1 B 1.36
O 0.8553 0.8257 0.7465  1 B 1.36
O 0.9190 0.7063 0.4614  1 B 1.37
O 0.7172 0.5731 0.0125  2 B 1.42-1.43
O 0.7063 0.9190 0.9614  1 B 1.37
O 0.1743 0.1447 0.7535  1 B 1.36
O 0.5951 0.1836 0.6750  1 B 1.36
O 0.2937 0.0810 0.0386  1 B 1.37
O 0.6660 0.2323 0.1095  1 B 1.37
O 0.8257 0.8553 0.2465  1 B 1.36
Li 0.3788 0.6212 0.7500  4 O 1.97-2.10
Li 0.1611 0.8389 0.2500  4 O 2.08-2.14
Li 0.8389 0.1611 0.7500  4 O 2.08-2.14
Li 0.6212 0.3788 0.2500  4 O 1.97-2.10
Fe 0.0425 0.3527 0.3489  4 O 1.88-1.92
Fe 0.6473 0.9575 0.1511  4 O 1.88-1.92
Fe 0.3527 0.0425 0.8489  4 O 1.88-1.92
Fe 0.9575 0.6473 0.6511  4 O 1.88-1.92